one:
# In2Si2O7

A relaxed structure of In2Si2O7 (GGA-PBE, the Materials Project database).

Summary:
Magnetic moment (Bohr magnetons per cell): 0.00

Cell: 9.5469 9.5469 9.5469 Å, 90.00 90.00 90.00°
Closest atoms and distances in Å follow each position.
Space group Fd-3m (No. 227, origin choice 2)
Inequivalent atoms, fractional coordinates:
1 In 0.0000 0.0000 0.0000 x16  2 O 2.07
2 Si 0.0000 0.0000 0.5000 x16  6 O 1.82
3 O 0.0711 0.3750 0.8750 x48  2 Si 1.82
4 O 0.1250 0.1250 0.1250 x8  4 In 2.07

=====

two:
# In2Si2O7

A relaxed structure of In2Si2O7 (GGA-PBE, the Materials Project database).

Cell: 6.7202 8.7558 4.7637 Å, 90.00 102.88 90.00°
Closest atoms and distances in Å follow each position.
Space group C2/m (No. 12)
Inequivalent atoms, fractional coordinates:
1 In 0.0000 0.1917 0.0000 x4  6 O 2.15-2.28
2 Si 0.2192 0.5000 0.4092 x4  4 O 1.63-1.65
3 O 0.0000 0.5000 0.5000 x2  2 Si 1.63
4 O 0.1103 0.0000 0.2841 x4  1 Si 1.64
5 O 0.2339 0.3446 0.2182 x8  1 Si 1.65

=====

Ranked by calculated energy, most stable first: two, one.

=====

one:
# TaIn3O7

A relaxed structure of TaIn3O7 (GGA-PBE, the Materials Project database).

Summary:
Magnetic moment (Bohr magnetons per cell): 0.00

Cell: 6.2926 6.3136 7.4922 Å, 73.14 89.77 81.87°
Closest atoms and distances in Å follow each position.
Space group P-1 (No. 2)
Inequivalent atoms, fractional coordinates:
1 Ta 0.0000 0.0000 0.0000 x1  6 O 1.96-2.00
2 Ta 0.0000 0.0000 0.5000 x1  6 O 1.94-2.13
3 In 0.2625 0.4571 0.3874 x2  4 O 2.14-2.33
4 In 0.2662 0.4684 0.8832 x2  6 O 2.19-2.32
5 In 0.4705 0.9934 0.2469 x2  4 O 2.08-2.21
6 O 0.0674 0.6452 0.6125 x2  1 Ta 2.13, 2 In 2.26-2.29
7 O 0.0809 0.9532 0.2629 x2  2 Ta 1.94-1.96
8 O 0.0951 0.6719 0.0453 x2  1 Ta 2.00, 1 In 2.19
9 O 0.2917 0.0830 0.9492 x2  1 Ta 1.98, 1 In 2.20
10 O 0.2932 0.0580 0.5211 x2  1 Ta 1.95
11 O 0.4441 0.3406 0.1660 x2  4 In 2.08-2.30
12 O 0.4735 0.3557 0.6617 x2  4 In 2.09-2.33

=====

two:
# TaIn3O7

A relaxed structure of TaIn3O7 (GGA-PBE, the Materials Project database).

Summary:
Magnetic moment (Bohr magnetons per cell): 0.00
Largest piezoelectric modulus (C/m2): 0.3

Cell: 7.5162 10.4361 7.3165 Å, 90.00 90.00 90.00°
Closest atoms and distances in Å follow each position.
Space group C222_1 (No. 20)
Inequivalent atoms, fractional coordinates:
1 Ta 0.0096 0.0000 0.0000 x4  6 O 1.92-2.09
2 In 0.0449 0.5000 0.0000 x4  6 O 2.29-2.38
3 In 0.2399 0.2388 0.2441 x8  6 O 2.17-2.35
4 O 0.0000 0.0560 0.2500 x4  2 Ta 1.92
5 O 0.0000 0.3575 0.2500 x4  4 In 2.19-2.38
6 O 0.0000 0.3725 0.7500 x4  4 In 2.27-2.29
7 O 0.1828 0.1349 0.9667 x8  1 Ta 1.93
8 O 0.2058 0.1255 0.5193 x8  1 Ta 2.09, 2 In 2.21-2.29

=====

Ranked by calculated energy, most stable first: one, two.

=====

one:
# Ta3InO9

A relaxed structure of Ta3InO9 (GGA-PBE, the Materials Project database).

Summary:
Magnetic moment (Bohr magnetons per cell): 0.00

Cell: 6.3994 7.6401 12.7166 Å, 90.00 90.00 90.00°
Closest atoms and distances in Å follow each position.
Space group Pnma (No. 62)
Inequivalent atoms, fractional coordinates:
1 Ta 0.0000 0.0000 0.0000 x4  6 O 1.98-2.03
2 Ta 0.2060 0.0026 0.2869 x8  6 O 1.94-2.13
3 In 0.0525 0.2500 0.5475 x4  5 O 2.25-2.28
4 O 0.0157 0.0408 0.1562 x8  3 Ta 2.01-2.13
5 O 0.0954 0.7500 0.0224 x4  2 Ta 2.03
6 O 0.1006 0.0363 0.6669 x8  2 Ta 1.99-2.07
7 O 0.1671 0.2500 0.3258 x4  2 Ta 1.97
8 O 0.2054 0.5490 0.4631 x8  1 Ta 1.98
9 O 0.2109 0.7500 0.2989 x4  2 Ta 1.94

=====

two:
# Ta3InO9

A relaxed structure of Ta3InO9 (GGA-PBE, the Materials Project database).

Summary:
Magnetic moment (Bohr magnetons per cell): 0.00

Cell: 5.1966 7.4905 8.3717 Å, 90.00 92.24 90.00°
Closest atoms and distances in Å follow each position.
Space group P2_1/m (No. 11)
Inequivalent atoms, fractional coordinates:
1 Ta 0.0000 0.0000 0.0000 x2  6 O 1.96-2.05
2 Ta 0.4707 0.0066 0.6948 x4  5 O 1.86-2.06
3 In 0.0286 0.2500 0.4403 x2  6 O 2.22-2.48
4 O 0.1001 0.2500 0.9752 x2  2 Ta 1.96
5 O 0.1492 0.5681 0.7858 x4  2 Ta 1.95-2.05
6 O 0.2549 0.5508 0.4715 x4  2 Ta 2.06-2.19, 1 In 2.24
7 O 0.3282 0.2500 0.6506 x2  2 Ta 2.00
8 O 0.3293 0.5550 0.1210 x4  2 Ta 1.86-2.00
9 O 0.4009 0.2500 0.3193 x2  2 Ta 2.04, 1 In 2.22

=====

Ranked by calculated energy, most stable first: two, one.

=====

one:
# In10Pb6S21

A relaxed structure of In10Pb6S21 (GGA-PBE, the Materials Project database).

Summary:
Magnetic moment (Bohr magnetons per cell): 0.00

Cell: 3.9057 14.1317 15.9222 Å, 95.32 90.00 97.84°
Closest atoms and distances in Å follow each position.
Space group P1 (No. 1)
Inequivalent atoms, fractional coordinates:
1 In 0.0000 0.0000 0.0000 x1  6 S 2.58-2.86
2 In 0.0295 0.0532 0.2582 x1  6 S 2.57-2.86
3 In 0.2080 0.4046 0.6142 x1  6 S 2.57-2.79
4 In 0.2522 0.4958 0.0219 x1  6 S 2.60-2.73
5 In 0.3063 0.5976 0.4357 x1  4 S 2.53-2.60
6 In 0.4232 0.8259 0.1469 x1  6 S 2.62-2.86
7 In 0.6174 0.2248 0.1105 x1  6 S 2.62-2.81
8 In 0.7411 0.4562 0.8211 x1  4 S 2.53-2.59
9 In 0.7809 0.5550 0.2354 x1  6 S 2.60-2.73
10 In 0.8310 0.6510 0.6433 x1  6 S 2.56-2.80
11 Pb 0.3833 0.7498 0.8855 x1  7 S 2.87-3.19
12 Pb 0.4522 0.8773 0.4251 x1  3 S 2.80-3.06
13 Pb 0.4728 0.9287 0.6989 x1  7 S 2.99-3.29
14 Pb 0.5652 0.1274 0.5596 x1  7 S 2.98-3.29
15 Pb 0.5888 0.1750 0.8350 x1  3 S 2.82-3.02
16 Pb 0.6472 0.2999 0.3705 x1  6 S 2.86-3.18
17 S 0.0510 0.0970 0.7209 x1  4 Pb 2.82-3.07
18 S 0.0993 0.1842 0.0026 x1  3 In 2.58-2.63
19 S 0.1190 0.2303 0.2250 x1  3 In 2.58-2.67
20 S 0.1346 0.2658 0.4969 x1  1 In 2.57, 1 Pb 2.86
21 S 0.1985 0.3713 0.8905 x1  3 In 2.59-2.60
22 S 0.2381 0.4645 0.3168 x1  3 In 2.53-2.73
23 S 0.2746 0.5556 0.7269 x1  5 In 2.64-2.94
24 S 0.3200 0.6342 0.1517 x1  4 In 2.66-2.70
25 S 0.3664 0.7254 0.5629 x1  3 In 2.57-2.61
26 S 0.4887 0.9753 0.8929 x1  2 In 2.59-2.60
27 S 0.5248 0.0274 0.1289 x1  6 In 2.80-2.86
28 S 0.5426 0.0786 0.3650 x1  2 In 2.59
29 S 0.6720 0.3296 0.6935 x1  3 In 2.57-2.60
30 S 0.7125 0.4169 0.1055 x1  4 In 2.66-2.70
31 S 0.7484 0.5002 0.5314 x1  5 In 2.63-2.92
32 S 0.7968 0.5880 0.9410 x1  3 In 2.53-2.73
33 S 0.8452 0.6818 0.3656 x1  3 In 2.58-2.60
34 S 0.9008 0.7890 0.7609 x1  1 In 2.56, 1 Pb 2.87
35 S 0.9188 0.8229 0.0325 x1  3 In 2.58-2.68
36 S 0.9462 0.8691 0.2541 x1  3 In 2.57-2.63
37 S 0.9895 0.9580 0.5370 x1  4 Pb 2.80-3.09

=====

two:
# In10Pb6S21

A relaxed structure of In10Pb6S21 (GGA-PBE, the Materials Project database).

Summary:
Magnetic moment (Bohr magnetons per cell): 0.00

Cell: 27.9992 3.9140 15.9399 Å, 90.00 95.22 90.00°
Closest atoms and distances in Å follow each position.
Space group C2/m (No. 12)
Inequivalent atoms, fractional coordinates:
1 In 0.0134 0.0000 0.1290 x4  6 S 2.57-2.84
2 In 0.0995 0.5000 0.9812 x4  6 S 2.63-2.83
3 In 0.1878 0.0000 0.4846 x4  6 S 2.58-2.78
4 In 0.2149 0.5000 0.6921 x4  4 S 2.54-2.59
5 In 0.2353 0.0000 0.8924 x4  6 S 2.61-2.72
6 Pb 0.0496 0.5000 0.4319 x4  7 S 2.99-3.28
7 Pb 0.0744 0.5000 0.7059 x4  3 S 2.82-3.04
8 Pb 0.1370 0.5000 0.2414 x4  7 S 2.89-3.19
9 S 0.0000 0.5000 0.0000 x2  6 In 2.83-2.84
10 S 0.0260 0.5000 0.2360 x4  2 In 2.60
11 S 0.0350 0.0000 0.5930 x4  4 Pb 2.82-3.07
12 S 0.0787 0.0000 0.8735 x4  3 In 2.57-2.63
13 S 0.1021 0.0000 0.0957 x4  3 In 2.59-2.67
14 S 0.1181 0.0000 0.3674 x4  1 In 2.58
15 S 0.1506 0.5000 0.5649 x4  3 In 2.59-2.61
16 S 0.1725 0.0000 0.7614 x4  3 In 2.59-2.61
17 S 0.1955 0.5000 0.9761 x4  4 In 2.67-2.72
18 S 0.2188 0.0000 0.1878 x4  3 In 2.54-2.72
19 S 0.2361 0.5000 0.4020 x4  5 In 2.67-2.89

=====

Ranked by calculated energy, most stable first: one, two.

=====

one:
# TlIn5S8

A relaxed structure of TlIn5S8 (GGA-PBE, the Materials Project database).

Cell: 19.3961 3.9089 9.3532 Å, 90.00 102.67 90.00°
Closest atoms and distances in Å follow each position.
Space group Cm (No. 8)
Inequivalent atoms, fractional coordinates:
1 Tl 0.0000 0.0000 0.0000 x2  6 S 3.27-3.42
2 In 0.0308 0.5000 0.4807 x2  6 S 2.65-2.67
3 In 0.1754 0.0000 0.3901 x2  4 S 2.48-2.56
4 In 0.2413 0.0000 0.8175 x2  6 S 2.60-2.79
5 In 0.3165 0.5000 0.1438 x2  6 S 2.57-2.82
6 In 0.3845 0.5000 0.5694 x2  4 S 2.47-2.56
7 S 0.1006 0.5000 0.2655 x2  3 In 2.56-2.66
8 S 0.1149 0.0000 0.6057 x2  4 In 2.55-2.79
9 S 0.1974 0.5000 0.9584 x2  3 In 2.57-2.60
10 S 0.2674 0.5000 0.6325 x2  3 In 2.47-2.73
11 S 0.2930 0.0000 0.3278 x2  3 In 2.48-2.71
12 S 0.3652 0.0000 0.0023 x2  3 In 2.63-2.65
13 S 0.4455 0.5000 0.3536 x2  4 In 2.55-2.82
14 S 0.4594 0.0000 0.6942 x2  3 In 2.56-2.67

=====

two:
# TlIn5S8

A relaxed structure of TlIn5S8 (GGA-PBE, the Materials Project database).

Summary:
Magnetic moment (Bohr magnetons per cell): 0.00

Cell: 4.1181 9.3867 9.6881 Å, 104.80 101.55 90.02°
Closest atoms and distances in Å follow each position.
Space group P1 (No. 1)
Inequivalent atoms, fractional coordinates:
1 Tl 0.0000 0.0000 0.0000 x1  6 S 3.24-3.52
2 In 0.0968 0.4329 0.2242 x1  4 S 2.43-2.62
3 In 0.1857 0.8522 0.3656 x1  6 S 2.51-2.75
4 In 0.4646 0.5189 0.9329 x1  6 S 2.57-2.74
5 In 0.7505 0.1815 0.5104 x1  5 S 2.56-2.80
6 In 0.8366 0.6019 0.6403 x1  4 S 2.44-2.65
7 S 0.0533 0.6459 0.1091 x1  4 In 2.52-2.74
8 S 0.2134 0.3679 0.4554 x1  1 In 2.43
9 S 0.2940 0.0512 0.6007 x1  3 In 2.51-2.65
10 S 0.4048 0.7238 0.7992 x1  3 In 2.57-2.65
11 S 0.5258 0.3132 0.0682 x1  3 In 2.58-2.62
12 S 0.6326 0.9886 0.2634 x1  3 In 2.56-2.75
13 S 0.7072 0.6766 0.4132 x1  1 In 2.44
14 S 0.8766 0.3931 0.7599 x1  4 In 2.51-2.73

=====

Ranked by calculated energy, most stable first: one, two.

=====

one:
# In3SbTe2

A relaxed structure of In3SbTe2 (GGA-PBE, the Materials Project database).

Summary:
Magnetic moment (Bohr magnetons per cell): 0.00

Cell: 4.4738 6.2520 13.0256 Å, 90.00 90.00 90.00°
Closest atoms and distances in Å follow each position.
Space group Immm (No. 71)
Inequivalent atoms, fractional coordinates:
1 In 0.0000 0.0000 0.0000 x2  2 Sb 3.13, 4 Te 3.16
2 In 0.0000 0.0000 0.3390 x4  2 Sb 3.07, 4 Te 3.13
3 Sb 0.0000 0.5000 0.0000 x2  6 In 3.07-3.13
4 Te 0.0000 0.5000 0.3287 x4  6 In 3.13-3.16

=====

two:
# In3SbTe2

A relaxed structure of In3SbTe2 (GGA-PBE, the Materials Project database).

Summary:
Magnetic moment (Bohr magnetons per cell): 0.01

Cell: 4.4281 4.4281 10.7564 Å, 90.00 90.00 120.00°
Closest atoms and distances in Å follow each position.
Space group P-3m1 (No. 164)
Inequivalent atoms, fractional coordinates:
1 In 0.0000 0.0000 0.0000 x1  6 Te 3.15
2 In 0.3333 0.6667 0.6569 x2  3 Sb 3.06, 3 Te 3.15
3 Sb 0.0000 0.0000 0.5000 x1  6 In 3.06
4 Te 0.3333 0.6667 0.1717 x2  6 In 3.15

=====

three:
# In3SbTe2

A relaxed structure of In3SbTe2 (GGA-PBE, the Materials Project database).

Summary:
Magnetic moment (Bohr magnetons per cell): 0.01

Cell: 4.2356 4.5852 24.2516 Å, 90.00 90.00 90.00°
Closest atoms and distances in Å follow each position.
Space group Pmmn (No. 59, origin choice 2)
Inequivalent atoms, fractional coordinates:
1 In 0.2500 0.2500 0.0646 x2  1 Sb 2.92, 5 Te 2.98-3.12
2 In 0.2500 0.2500 0.3073 x2  1 Sb 2.97, 4 Te 3.13
3 In 0.2500 0.2500 0.8086 x2  2 Te 3.07-3.23, 4 Sb 3.12
4 Sb 0.2500 0.2500 0.1849 x2  6 In 2.92-3.12
5 Te 0.2500 0.2500 0.6822 x2  5 In 3.07-3.13
6 Te 0.2500 0.2500 0.9417 x2  6 In 2.98-3.23

=====

Ranked by calculated energy, most stable first: one, two, three.

=====

one:
# InSiTe3

A relaxed structure of InSiTe3 (GGA-PBE, the Materials Project database).

Cell: 7.1711 7.1711 7.5006 Å, 90.00 90.00 120.00°
Closest atoms and distances in Å follow each position.
Space group P-31m (No. 162)
Inequivalent atoms, fractional coordinates:
1 In 0.3333 0.6667 0.0000 x2  6 Te 3.06
2 Si 0.0000 0.0000 0.1552 x2  1 Si 2.33, 3 Te 2.53
3 Te 0.0000 0.3372 0.2563 x6  1 Si 2.53

=====

two:
# InSiTe3

A relaxed structure of InSiTe3 (GGA-PBE, the Materials Project database).

Summary:
Magnetic moment (Bohr magnetons per cell): 0.89

Cell: 7.3890 7.3890 5.1963 Å, 90.00 90.00 120.00°
Closest atoms and distances in Å follow each position.
Space group P3 (No. 143)
Inequivalent atoms, fractional coordinates:
1 In 0.0000 0.0000 0.0000 x1  3 Te 2.98
2 Si 0.6667 0.3333 0.8115 x1  3 Te 2.45
3 Te 0.0227 0.6334 0.8032 x3  1 Si 2.45

=====

Ranked by calculated energy, most stable first: one, two.